--- 1 ---
MgTeH12O9, relaxed, DFT PBE; maximum piezoelectric response = 0.6 C/m²
1.0
-1.6183 -0.8700 -5.7427
-4.7074 -2.7791 2.5440
-2.0722 5.6377 0.5263
O H Te Mg
9 12 1 1
direct
0.9371 0.3174 0.1205
0.6570 0.8588 0.0349
0.4176 0.5058 0.7695
0.5058 0.7695 0.4176
0.0349 0.6570 0.8588
0.3174 0.1205 0.9371
0.7695 0.4176 0.5058
0.1205 0.9371 0.3174
0.8588 0.0349 0.6570
0.6154 0.8264 0.1856
0.2628 0.8726 0.3620
0.7200 0.9271 0.5789
0.4520 0.0428 0.9625
0.9271 0.5789 0.7200
0.8726 0.3620 0.2628
0.8264 0.1856 0.6154
0.0428 0.9625 0.4520
0.1856 0.6154 0.8264
0.3620 0.2628 0.8726
0.5789 0.7200 0.9271
0.9625 0.4520 0.0428
0.4617 0.4617 0.4617
0.9935 0.9935 0.9935

--- 2 ---
The following is a PBE calculation of an optimized crystal structure of MgTeH12O9, from the Materials Project.

The structure in POSCAR format:
```
MgTeH12O9
1.0
-4.9681 2.6669 -6.6380
-0.6855 -4.7059 -1.4934
-2.6136 -0.4948 7.8381
H O Mg Te
12 9 1 1
direct
0.5165 0.6682 0.8507
0.5286 0.0320 0.5105
0.7848 0.2258 0.4311
0.7013 0.2395 0.1594
0.6876 0.2334 0.4057
0.2242 0.6563 0.7955
0.9622 0.3954 0.2649
0.2290 0.6671 0.6109
0.7002 0.5165 0.9943
0.2830 0.1812 0.3890
0.5540 0.7306 0.5590
0.0507 0.7476 0.8946
0.6104 0.9203 0.6140
0.1197 0.6077 0.2239
0.7707 0.2778 0.1052
0.0700 0.5528 0.8568
0.1040 0.4779 0.3590
0.6525 0.6554 0.9037
0.3018 0.7328 0.7574
0.3707 0.1960 0.3512
0.0219 0.0667 0.9660
0.7778 0.9904 0.9142
0.2146 0.3470 0.0830
```

Q: What are the energies relative to the best structure? A: 1 0.000; 2 0.244, in eV/atom.